{
  "formula": "Nd2Ga9Ru3",
  "functional": "meta-GGA r2SCAN",
  "state": "relaxed",
  "total_energy_ev_per_cell": -492.52,
  "sg": "Cmcm, No. 63",
  "formation_enthalpy_0k_ev_per_atom": -0.583,
  "total_magnetization_mub_per_fu": 0.00,
  "lattice": [[6.419, -3.797, 0.000], [6.419, 3.797, 0.000], [0.000, 0.000, 9.826]],
  "species": ["Nd", "Nd", "Nd", "Nd", "Ga", "Ga", "Ga", "Ga", "Ga", "Ga", "Ga", "Ga", "Ga", "Ga", "Ga", "Ga", "Ga", "Ga", "Ga", "Ga", "Ga", "Ga", "Ru", "Ru", "Ru", "Ru", "Ru", "Ru"],
  "frac_coords": [[0.002, 0.674, 0.750], [0.326, 0.998, 0.750], [0.674, 0.002, 0.250], [0.998, 0.326, 0.250], [0.013, 0.662, 0.073], [0.013, 0.662, 0.427], [0.136, 0.864, 0.250], [0.338, 0.987, 0.073], [0.338, 0.987, 0.427], [0.339, 0.450, 0.250], [0.341, 0.659, 0.558], [0.341, 0.659, 0.942], [0.450, 0.339, 0.750], [0.550, 0.661, 0.250], [0.659, 0.341, 0.058], [0.659, 0.341, 0.442], [0.661, 0.550, 0.750], [0.662, 0.013, 0.573], [0.662, 0.013, 0.927], [0.864, 0.136, 0.750], [0.987, 0.338, 0.573], [0.987, 0.338, 0.927], [0.000, 0.000, 0.000], [0.000, 0.000, 0.500], [0.324, 0.324, 0.000], [0.324, 0.324, 0.500], [0.676, 0.676, 0.000], [0.676, 0.676, 0.500]]
}

---

{
  "formula": "Nd3Ga2Si4",
  "functional": "meta-GGA r2SCAN",
  "state": "relaxed",
  "total_energy_ev_per_cell": -305.89,
  "sg": "Cm, No. 8",
  "formation_enthalpy_0k_ev_per_atom": -0.746,
  "total_magnetization_mub_per_fu": 0.00,
  "lattice": [[21.027, -2.143, 0.000], [21.027, 2.143, 0.000], [-0.422, 0.000, 4.208]],
  "species": ["Nd", "Nd", "Nd", "Nd", "Nd", "Nd", "Ga", "Ga", "Ga", "Ga", "Si", "Si", "Si", "Si", "Si", "Si", "Si", "Si"],
  "frac_coords": [[0.000, 0.000, 0.000], [0.247, 0.247, 0.746], [0.334, 0.334, 0.334], [0.581, 0.581, 0.080], [0.665, 0.665, 0.665], [0.915, 0.915, 0.414], [0.137, 0.137, 0.137], [0.471, 0.471, 0.471], [0.777, 0.777, 0.276], [0.805, 0.805, 0.804], [0.053, 0.053, 0.553], [0.109, 0.109, 0.609], [0.194, 0.194, 0.193], [0.387, 0.387, 0.887], [0.443, 0.443, 0.943], [0.528, 0.528, 0.527], [0.720, 0.720, 0.220], [0.862, 0.862, 0.861]]
}

---

{
  "formula": "Nd3Ga4Si2",
  "functional": "meta-GGA r2SCAN",
  "state": "relaxed",
  "total_energy_ev_per_cell": -317.76,
  "sg": "Imm2, No. 44",
  "formation_enthalpy_0k_ev_per_atom": -0.812,
  "total_magnetization_mub_per_fu": 0.00,
  "lattice": [[-2.093, 2.138, 21.623], [2.093, -2.138, 21.623], [2.093, 2.138, -21.623]],
  "species": ["Nd", "Nd", "Nd", "Nd", "Nd", "Nd", "Ga", "Ga", "Ga", "Ga", "Ga", "Ga", "Ga", "Ga", "Si", "Si", "Si", "Si"],
  "frac_coords": [[0.000, 0.000, 0.000], [0.250, 0.750, 0.500], [0.332, 0.332, 0.000], [0.583, 0.083, 0.500], [0.664, 0.664, 0.000], [0.918, 0.418, 0.500], [0.110, 0.610, 0.500], [0.193, 0.193, 0.000], [0.388, 0.888, 0.500], [0.444, 0.944, 0.500], [0.528, 0.528, 0.000], [0.721, 0.221, 0.500], [0.777, 0.277, 0.500], [0.861, 0.861, 0.000], [0.055, 0.555, 0.500], [0.138, 0.138, 0.000], [0.473, 0.473, 0.000], [0.806, 0.806, 0.000]]
}

---

{
  "formula": "Nd2ZnGa",
  "functional": "meta-GGA r2SCAN",
  "state": "relaxed",
  "total_energy_ev_per_cell": -324.73,
  "sg": "Fm-3m, No. 225",
  "formation_enthalpy_0k_ev_per_atom": -0.498,
  "total_magnetization_mub_per_fu": 0.00,
  "lattice": [[7.368, 0.000, 0.000], [0.000, 7.368, 0.000], [0.000, 0.000, 7.368]],
  "species": ["Nd", "Nd", "Nd", "Nd", "Nd", "Nd", "Nd", "Nd", "Zn", "Zn", "Zn", "Zn", "Ga", "Ga", "Ga", "Ga"],
  "frac_coords": [[0.250, 0.250, 0.250], [0.250, 0.250, 0.750], [0.250, 0.750, 0.250], [0.250, 0.750, 0.750], [0.750, 0.250, 0.250], [0.750, 0.250, 0.750], [0.750, 0.750, 0.250], [0.750, 0.750, 0.750], [0.000, 0.000, 0.000], [0.000, 0.500, 0.500], [0.500, 0.000, 0.500], [0.500, 0.500, 0.000], [0.000, 0.000, 0.500], [0.000, 0.500, 0.000], [0.500, 0.000, 0.000], [0.500, 0.500, 0.500]]
}

---

{
  "formula": "NdZn2Ga2",
  "functional": "meta-GGA r2SCAN",
  "state": "relaxed",
  "total_energy_ev_per_cell": -72.77,
  "sg": "Fmmm, No. 69",
  "formation_enthalpy_0k_ev_per_atom": -0.530,
  "total_magnetization_mub_per_fu": 0.00,
  "lattice": [[0.000, 2.982, 5.293], [2.976, 0.000, 5.293], [2.976, 2.982, 0.000]],
  "species": ["Nd", "Zn", "Zn", "Ga", "Ga"],
  "frac_coords": [[0.000, 0.000, 0.000], [0.386, 0.386, 0.614], [0.614, 0.614, 0.386], [0.250, 0.250, 0.250], [0.750, 0.750, 0.750]]
}

---

{
  "formula": "Ga3Ni2",
  "functional": "meta-GGA r2SCAN",
  "state": "relaxed",
  "total_energy_ev_per_cell": -60.41,
  "sg": "P-3m1, No. 164",
  "formation_enthalpy_0k_ev_per_atom": -0.424,
  "total_magnetization_mub_per_fu": 0.00,
  "lattice": [[4.011, 0.000, 0.000], [-2.005, 3.474, 0.000], [0.000, 0.000, 4.865]],
  "species": ["Ga", "Ga", "Ga", "Ni", "Ni"],
  "frac_coords": [[0.000, 0.000, 0.000], [0.333, 0.667, 0.640], [0.667, 0.333, 0.360], [0.333, 0.667, 0.142], [0.667, 0.333, 0.858]]
}

---

{
  "formula": "GaNi",
  "functional": "meta-GGA r2SCAN",
  "state": "relaxed",
  "total_energy_ev_per_cell": -24.14,
  "sg": "Pm-3m, No. 221",
  "formation_enthalpy_0k_ev_per_atom": -0.356,
  "total_magnetization_mub_per_fu": 0.00,
  "lattice": [[2.878, 0.000, 0.000], [0.000, 2.878, 0.000], [0.000, 0.000, 2.878]],
  "species": ["Ga", "Ni"],
  "frac_coords": [[0.000, 0.000, 0.000], [0.500, 0.500, 0.500]]
}

---

{
  "formula": "Ga7Ni3",
  "functional": "meta-GGA r2SCAN",
  "state": "relaxed",
  "total_energy_ev_per_cell": -238.10,
  "sg": "Im-3m, No. 229",
  "formation_enthalpy_0k_ev_per_atom": -0.301,
  "total_magnetization_mub_per_fu": 0.00,
  "lattice": [[-4.182, 4.182, 4.182], [4.182, -4.182, 4.182], [4.182, 4.182, -4.182]],
  "species": ["Ga", "Ga", "Ga", "Ga", "Ga", "Ga", "Ga", "Ga", "Ga", "Ga", "Ga", "Ga", "Ga", "Ga", "Ni", "Ni", "Ni", "Ni", "Ni", "Ni"],
  "frac_coords": [[0.000, 0.000, 0.322], [0.000, 0.000, 0.678], [0.000, 0.322, 0.000], [0.000, 0.678, 0.000], [0.250, 0.500, 0.750], [0.250, 0.750, 0.500], [0.322, 0.000, 0.000], [0.322, 0.322, 0.322], [0.500, 0.250, 0.750], [0.500, 0.750, 0.250], [0.678, 0.000, 0.000], [0.678, 0.678, 0.678], [0.750, 0.250, 0.500], [0.750, 0.500, 0.250], [0.000, 0.350, 0.350], [0.000, 0.650, 0.650], [0.350, 0.000, 0.350], [0.350, 0.350, 0.000], [0.650, 0.000, 0.650], [0.650, 0.650, 0.000]]
}

---

{
  "formula": "Ga9Ni13",
  "functional": "meta-GGA r2SCAN",
  "state": "relaxed",
  "total_energy_ev_per_cell": -267.01,
  "sg": "C2/m, No. 12",
  "formation_enthalpy_0k_ev_per_atom": -0.376,
  "total_magnetization_mub_per_fu": 0.00,
  "lattice": [[4.917, -3.904, 0.000], [4.917, 3.904, 0.000], [-4.859, 0.000, 6.842]],
  "species": ["Ga", "Ga", "Ga", "Ga", "Ga", "Ga", "Ga", "Ga", "Ga", "Ni", "Ni", "Ni", "Ni", "Ni", "Ni", "Ni", "Ni", "Ni", "Ni", "Ni", "Ni", "Ni"],
  "frac_coords": [[0.000, 0.000, 0.000], [0.208, 0.208, 0.667], [0.247, 0.671, 0.190], [0.329, 0.753, 0.810], [0.330, 0.330, 0.385], [0.670, 0.670, 0.615], [0.671, 0.247, 0.190], [0.753, 0.329, 0.810], [0.792, 0.792, 0.333], [0.000, 0.500, 0.500], [0.044, 0.566, 0.839], [0.053, 0.053, 0.321], [0.239, 0.761, 0.500], [0.241, 0.241, 0.987], [0.434, 0.956, 0.161], [0.500, 0.000, 0.500], [0.500, 0.500, 0.000], [0.566, 0.044, 0.839], [0.759, 0.759, 0.013], [0.761, 0.239, 0.500], [0.947, 0.947, 0.679], [0.956, 0.434, 0.161]]
}

---

{
  "formula": "Ga3Ni5",
  "functional": "meta-GGA r2SCAN",
  "state": "relaxed",
  "total_energy_ev_per_cell": -194.23,
  "sg": "Cmmm, No. 65",
  "formation_enthalpy_0k_ev_per_atom": -0.360,
  "total_magnetization_mub_per_fu": 0.00,
  "lattice": [[6.691, 0.000, 0.000], [0.000, 7.434, 0.000], [0.000, 0.000, 3.693]],
  "species": ["Ga", "Ga", "Ga", "Ga", "Ga", "Ga", "Ni", "Ni", "Ni", "Ni", "Ni", "Ni", "Ni", "Ni", "Ni", "Ni"],
  "frac_coords": [[0.000, 0.000, 0.000], [0.000, 0.281, 0.500], [0.000, 0.719, 0.500], [0.500, 0.219, 0.500], [0.500, 0.500, 0.000], [0.500, 0.781, 0.500], [0.000, 0.500, 0.000], [0.225, 0.000, 0.500], [0.250, 0.250, 0.000], [0.250, 0.750, 0.000], [0.275, 0.500, 0.500], [0.500, 0.000, 0.000], [0.725, 0.500, 0.500], [0.750, 0.250, 0.000], [0.750, 0.750, 0.000], [0.775, 0.000, 0.500]]
}